# 1
Material: Co11B4SbO20
Method: DFT, PBE+U
State: optimized geometry

The structure in POSCAR format:
```
Co11B4SbO20
1.0
3.116 5.434 0.000
-3.116 5.434 0.000
0.000 4.639 10.749
O Co Sb B
20 11 1 4
Direct
0.099 0.099 0.799 O
0.782 0.309 0.591 O
0.178 0.178 0.201 O
0.678 0.678 0.198 O
0.309 0.782 0.591 O
0.864 0.361 0.029 O
0.789 0.789 0.607 O
0.639 0.136 0.971 O
0.211 0.211 0.393 O
0.402 0.402 0.198 O
0.294 0.294 0.609 O
0.136 0.639 0.971 O
0.218 0.691 0.409 O
0.361 0.864 0.029 O
0.706 0.706 0.391 O
0.901 0.901 0.201 O
0.322 0.322 0.802 O
0.822 0.822 0.799 O
0.691 0.218 0.409 O
0.598 0.598 0.802 O
0.500 0.500 0.000 Co
0.220 0.718 0.782 Co
0.000 0.000 0.500 Co
0.500 0.000 0.500 Co
0.000 0.500 0.500 Co
0.780 0.282 0.218 Co
0.250 0.250 0.001 Co
0.718 0.220 0.782 Co
0.000 0.000 0.000 Co
0.282 0.780 0.218 Co
0.750 0.750 0.999 Co
0.500 0.500 0.500 Sb
0.264 0.264 0.263 B
0.736 0.736 0.737 B
0.764 0.764 0.258 B
0.236 0.236 0.742 B
```

The symmetry is C2/m.

---

# 2
Material: Li13Ni15O28
Method: DFT, PBE+U
State: optimized geometry

The structure in POSCAR format:
```
Li13Ni15O28
1.0
7.670 0.000 0.000
-2.130 7.872 0.000
-2.293 -2.714 8.014
O Ni Li
28 15 13
Direct
0.072 0.452 0.285 O
0.368 0.841 0.438 O
0.090 0.982 0.296 O
0.632 0.159 0.562 O
0.508 0.751 0.983 O
0.910 0.018 0.704 O
0.928 0.548 0.715 O
0.995 0.238 0.481 O
0.369 0.305 0.419 O
0.705 0.372 0.342 O
0.631 0.695 0.581 O
0.549 0.963 0.778 O
0.135 0.664 0.056 O
0.211 0.876 0.861 O
0.229 0.414 0.864 O
0.492 0.249 0.017 O
0.295 0.628 0.658 O
0.736 0.911 0.364 O
0.005 0.762 0.519 O
0.843 0.805 0.908 O
0.789 0.124 0.139 O
0.451 0.037 0.222 O
0.865 0.336 0.944 O
0.572 0.467 0.804 O
0.157 0.195 0.092 O
0.771 0.586 0.136 O
0.428 0.533 0.196 O
0.264 0.089 0.636 O
0.146 0.431 0.074 Ni
0.854 0.569 0.926 Ni
0.075 0.216 0.286 Ni
0.213 0.643 0.858 Ni
0.500 0.500 0.000 Ni
0.787 0.357 0.142 Ni
0.925 0.784 0.714 Ni
0.638 0.929 0.572 Ni
0.500 0.000 0.000 Ni
0.432 0.285 0.217 Ni
0.281 0.858 0.645 Ni
0.362 0.071 0.428 Ni
0.000 0.000 0.500 Ni
0.719 0.142 0.355 Ni
0.568 0.715 0.783 Ni
0.212 0.145 0.858 Li
0.430 0.784 0.216 Li
0.288 0.357 0.643 Li
0.646 0.428 0.574 Li
0.000 0.500 0.500 Li
0.857 0.074 0.927 Li
0.143 0.926 0.073 Li
0.354 0.572 0.426 Li
0.928 0.287 0.715 Li
0.570 0.216 0.784 Li
0.072 0.713 0.285 Li
0.712 0.643 0.357 Li
0.788 0.855 0.142 Li
```

The symmetry is P-1.

---

# 3
Material: Na8NiO6
Method: DFT, PBE+U
State: optimized geometry

The structure in POSCAR format:
```
Na8NiO6
1.0
3.163 -5.478 0.000
3.163 5.478 0.000
0.000 0.000 12.820
O Na Ni
12 16 2
Direct
0.667 0.333 0.721 O
0.280 0.000 0.451 O
0.000 0.000 0.649 O
0.720 0.000 0.951 O
0.280 0.280 0.951 O
0.000 0.720 0.951 O
0.333 0.667 0.721 O
0.000 0.000 0.149 O
0.720 0.720 0.451 O
0.667 0.333 0.221 O
0.333 0.667 0.221 O
0.000 0.280 0.451 O
0.333 0.667 0.916 Na
0.382 0.000 0.620 Na
0.333 0.667 0.416 Na
0.000 0.382 0.620 Na
0.290 0.000 0.272 Na
0.000 0.618 0.120 Na
0.618 0.000 0.120 Na
0.000 0.710 0.772 Na
0.667 0.333 0.416 Na
0.290 0.290 0.772 Na
0.618 0.618 0.620 Na
0.667 0.333 0.916 Na
0.000 0.290 0.272 Na
0.710 0.710 0.272 Na
0.382 0.382 0.120 Na
0.710 0.000 0.772 Na
0.000 0.000 0.495 Ni
0.000 0.000 0.995 Ni
```

The symmetry is P6_3cm.

---

# 4
Material: K2MgFe4P6O16F12
Method: DFT, PBE+U
State: optimized geometry

The structure in POSCAR format:
```
K2MgFe4P6O16F12
1.0
-5.695 2.409 -4.013
-0.177 -6.789 -3.479
-3.848 -2.504 10.309
O P F Fe K Mg
16 6 12 4 2 1
Direct
0.898 0.380 0.274 O
0.394 0.915 0.773 O
0.638 0.071 0.230 O
0.813 0.462 0.049 O
0.767 0.910 0.545 O
0.459 0.236 0.893 O
0.204 0.083 0.455 O
0.419 0.256 0.375 O
0.683 0.582 0.421 O
0.280 0.416 0.550 O
0.201 0.554 0.957 O
0.104 0.617 0.726 O
0.131 0.133 0.722 O
0.573 0.752 0.110 O
0.896 0.857 0.288 O
0.556 0.709 0.608 O
0.305 0.084 0.818 P
0.055 0.582 0.839 P
0.728 0.903 0.185 P
0.632 0.741 0.503 P
0.352 0.248 0.488 P
0.948 0.420 0.164 P
0.530 0.206 0.597 F
0.495 0.578 0.819 F
0.938 0.741 0.882 F
0.826 0.954 0.085 F
0.828 0.267 0.474 F
0.154 0.749 0.534 F
0.888 0.426 0.788 F
0.499 0.387 0.168 F
0.121 0.583 0.228 F
0.076 0.273 0.121 F
0.434 0.798 0.396 F
0.211 0.034 0.921 F
0.339 0.656 0.675 Fe
0.502 0.495 0.998 Fe
0.978 0.073 0.536 Fe
0.652 0.329 0.323 Fe
0.266 0.952 0.137 K
0.763 0.077 0.808 K
0.152 0.813 0.384 Mg
```

The symmetry is P1.

---

# 5
Material: TiVO3
Method: DFT, PBE+U
State: optimized geometry

The structure in POSCAR format:
```
TiVO3
1.0
2.320 -1.711 -4.263
3.304 1.669 4.235
0.000 -2.883 4.263
O V Ti
6 2 2
Direct
0.777 0.264 0.564 O
0.564 0.736 0.051 O
0.051 0.264 0.223 O
0.223 0.736 0.436 O
0.949 0.736 0.777 O
0.436 0.264 0.949 O
0.653 0.958 0.347 V
0.347 0.042 0.653 V
0.145 0.435 0.855 Ti
0.855 0.565 0.145 Ti
```

The symmetry is R-3.

---

# 6
Material: Li9Mn2Co5O16
Method: DFT, PBE+U
State: optimized geometry

The structure in POSCAR format:
```
Li9Mn2Co5O16
1.0
5.729 0.000 0.000
2.846 5.087 0.000
1.451 1.018 9.611
O Co Li Mn
16 5 9 2
Direct
0.947 0.418 0.888 O
0.802 0.819 0.619 O
0.567 0.555 0.109 O
0.934 0.944 0.892 O
0.198 0.181 0.381 O
0.053 0.582 0.112 O
0.327 0.288 0.612 O
0.557 0.083 0.110 O
0.830 0.315 0.614 O
0.443 0.917 0.890 O
0.433 0.445 0.891 O
0.170 0.685 0.386 O
0.066 0.056 0.108 O
0.306 0.836 0.612 O
0.673 0.712 0.388 O
0.694 0.164 0.388 O
0.000 0.000 0.500 Co
0.751 0.250 0.999 Co
0.000 0.500 0.500 Co
0.500 0.000 0.500 Co
0.249 0.750 0.001 Co
0.872 0.875 0.258 Li
0.135 0.623 0.739 Li
0.500 0.500 0.500 Li
0.622 0.626 0.740 Li
0.865 0.377 0.261 Li
0.378 0.374 0.260 Li
0.632 0.131 0.735 Li
0.368 0.869 0.265 Li
0.128 0.125 0.742 Li
0.250 0.250 0.000 Mn
0.750 0.750 0.000 Mn
```

The symmetry is P-1.

---

no.,ρ (g/cm3),electronic total energy (eV per atom)
1,5.2,-6.6952
2,4.9,-4.9067
3,2.5,-4.0060
4,2.8,-6.2581
5,4.5,-8.6127
6,4.3,-5.8098